[1]
## K2HoSbO7 (GGA-PBE)

Data for a geometry-optimized K2HoSbO7 structure.

Calculated values
formation energy from the elements = -1983 kJ/mol of formula units
calculated volume = 17.37 A^3/atom

Geometry as extended XYZ:
```
22
Lattice="7.5414 -0.9260 -2.8389 2.1208 -2.9805 7.2394 -6.1098 -3.3801 -4.1273" Properties=species:S:1:pos:R:3 pbc="T T T"
O 5.0798 -2.2492 -1.8414
O 0.9383 -5.7128 0.1392
O -1.5275 -5.0375 2.1145
Sb -1.9945 -3.1803 1.5560
K 4.8311 -1.9533 2.2002
O 6.0634 -3.5471 0.5222
O 1.7301 -3.9182 4.8222
K -3.0549 -1.6901 -2.0636
Ho 1.7762 -3.6433 0.1366
K 0.0000 0.0000 0.0000
O 1.8223 -3.3685 -4.5490
O 2.6141 -1.5738 0.1340
K 1.0604 -1.4903 3.6197
O -2.5110 -3.7396 -0.2490
Ho 3.7707 -0.4630 -1.4195
O 2.5673 -3.8714 2.2352
O 0.9850 -3.4152 -1.9621
O -0.9651 -3.1418 -3.9029
Sb 0.7158 -2.1531 -3.4831
O 4.5174 -4.1449 4.1760
O 3.6682 -4.5001 -0.7401
O -0.1158 -2.7866 1.0132
```

[2]
## La3Ho (GGA-PBE)

Data for a geometry-optimized La3Ho structure.

Calculated values
formation energy from the elements = 13 kJ/mol of formula units
calculated volume = 36.04 A^3/atom

Geometry as extended XYZ:
```
4
Lattice="2.3167 -4.2540 4.2351 -4.2239 -4.7850 0.8139 2.5496 2.6412 -5.2843" Properties=species:S:1:pos:R:3 pbc="T T T"
La 1.9564 -3.0662 0.7377
La -1.3139 -3.3317 -0.9729
La -0.9536 -4.5195 2.5245
Ho 0.0000 0.0000 0.0000
```

[3]
## LaHoMg2 (GGA-PBE)

Data for a geometry-optimized LaHoMg2 structure.

Calculated values
formation energy from the elements = -32 kJ/mol of formula units
calculated volume = 28.91 A^3/atom

Geometry as extended XYZ:
```
4
Lattice="0.0000 3.8668 3.8668 3.8668 0.0000 3.8668 3.8668 3.8668 0.0000" Properties=species:S:1:pos:R:3 pbc="T T T"
La 0.0000 0.0000 0.0000
Ho 3.8668 3.8668 3.8668
Mg 1.9334 1.9334 1.9334
Mg 5.8003 5.8003 5.8003
```

[4]
## LaHoO3 (GGA-PBE)

Data for a geometry-optimized LaHoO3 structure.

Calculated values
formation energy from the elements = -1869 kJ/mol of formula units
calculated volume = 15.62 A^3/atom

Geometry as extended XYZ:
```
20
Lattice="6.0859 0.0000 0.0000 0.0000 6.0331 0.0000 0.0000 0.0212 8.5106" Properties=species:S:1:pos:R:3 pbc="T T T"
O 1.1396 4.9175 4.8044
O 0.6740 3.2652 2.1412
O 5.0159 4.9700 0.3331
O 1.9730 4.1010 8.1775
O 5.4118 2.7892 6.3694
O 4.9462 1.1369 3.7062
O 1.9033 1.9009 4.8044
O 4.1826 4.1535 3.7062
Ho 3.0429 0.0000 0.0000
O 1.0699 1.0844 8.1775
La 6.0359 0.1606 6.3909
Ho 3.0429 0.0106 4.2553
La 2.9929 2.8772 2.1197
Ho 0.0000 3.0166 0.0000
O 2.3689 0.2486 2.1412
Ho 0.0000 3.0272 4.2553
La 0.0500 5.8938 2.1197
O 4.1129 1.9534 0.3331
O 3.7170 5.8058 6.3694
La 3.0929 3.1772 6.3909
```

[5]
## LaHoO3 (GGA-PBE)

Data for a geometry-optimized LaHoO3 structure.

Calculated values
formation energy from the elements = -1891 kJ/mol of formula units
calculated volume = 15.33 A^3/atom

Geometry as extended XYZ:
```
20
Lattice="5.8835 0.0000 0.0000 0.0000 6.0755 0.0000 0.0000 0.0000 8.5760" Properties=species:S:1:pos:R:3 pbc="T T T"
Ho 0.0000 3.0378 0.0000
La 2.8339 2.7541 6.4320
La 5.7757 0.2837 2.1440
O 2.1687 5.7319 2.1440
O 0.7731 2.6942 2.1440
O 4.7262 4.8732 0.6134
La 3.0496 3.3214 2.1440
O 1.1573 1.2023 7.9625
O 5.1104 3.3814 6.4320
Ho 0.0000 3.0378 4.2880
Ho 2.9418 0.0000 4.2880
O 4.7262 4.8732 3.6745
Ho 2.9418 0.0000 0.0000
O 1.7845 4.2401 4.9014
O 4.0991 1.8354 3.6745
O 3.7148 0.3436 6.4320
O 1.7845 4.2401 7.9625
La 0.1078 5.7919 6.4320
O 1.1573 1.2023 4.9014
O 4.0991 1.8354 0.6134
```

[6]
## LaHoSi2O7 (GGA-PBE)

Data for a geometry-optimized LaHoSi2O7 structure.

Calculated values
formation energy from the elements = -3902 kJ/mol of formula units
calculated volume = 13.89 A^3/atom

Geometry as extended XYZ:
```
44
Lattice="8.6529 0.0000 0.0000 0.0000 5.4429 0.0000 0.0000 5.3252 12.9764" Properties=species:S:1:pos:R:3 pbc="T T T"
O 1.1316 2.6470 0.9645
O 4.1584 2.5144 3.3701
Si 6.4443 6.6246 6.2131
Si 4.3423 1.2189 2.3620
La 1.6844 4.0256 2.9669
O 7.5213 8.1210 12.0118
Ho 3.3946 6.6322 5.3180
Si 2.1179 1.4809 0.2751
O 8.4848 5.5911 3.1181
Ho 0.9318 9.2948 11.8062
O 1.5679 1.8953 4.3048
O 3.6235 1.5068 0.9179
O 2.7586 4.5579 10.7930
O 5.8943 6.2102 2.1834
O 7.9837 2.6980 3.3202
O 6.5061 6.0997 7.7493
Si 8.6371 3.8815 8.8502
O 1.3537 5.4974 0.5198
O 5.4580 5.4585 5.5237
O 2.1468 4.6684 5.2271
Si 0.0158 6.8866 4.1262
O 7.2992 5.2707 12.4566
O 3.6572 5.4075 3.1680
O 4.4945 8.2536 9.6063
Ho 5.2583 4.1358 7.6583
O 5.6801 2.6081 5.9684
La 6.9685 6.7425 10.0095
O 3.1949 5.3096 7.4527
O 5.0294 9.2613 12.0584
O 4.9957 5.3605 9.8084
O 7.9500 6.5987 5.5702
O 0.6693 8.0701 9.6562
O 6.4733 3.4371 1.2611
O 2.9728 8.1600 7.0080
O 7.0850 8.8728 8.6715
Ho 7.7211 1.4733 1.1702
Si 2.2086 4.1434 6.7633
O 2.1797 7.3310 11.7153
Si 4.3107 9.5492 10.6144
La 2.6420 6.6882 9.4551
Si 6.5351 9.2872 12.7013
La 6.0109 4.0799 3.5213
O 0.7029 4.1694 7.4061
O 0.1681 5.1770 9.8583
```

[7]
## LaHoRu2 (GGA-PBE)

Data for a geometry-optimized LaHoRu2 structure.

Calculated values
formation energy from the elements = -80 kJ/mol of formula units
calculated volume = 21.00 A^3/atom

Geometry as extended XYZ:
```
4
Lattice="0.0000 3.4762 3.4762 3.4762 0.0000 3.4762 3.4762 3.4762 0.0000" Properties=species:S:1:pos:R:3 pbc="T T T"
Ho 3.4762 3.4762 3.4762
Ru 1.7381 1.7381 1.7381
Ru 5.2144 5.2144 5.2144
La 0.0000 0.0000 0.0000
```

[8]
## La4Ho11S22 (GGA-PBE)

Data for a geometry-optimized La4Ho11S22 structure.

Calculated values
formation energy from the elements = -8561 kJ/mol of formula units
calculated volume = 24.12 A^3/atom

Geometry as extended XYZ:
```
37
Lattice="-8.6965 1.7376 17.6821 -6.1108 -1.0779 18.7830 7.4190 8.0557 3.1772" Properties=species:S:1:pos:R:3 pbc="T T T"
Ho 3.7185 5.1983 4.5608
S -9.4569 4.2198 33.0034
Ho -4.8253 8.1153 32.0876
Ho -2.8321 2.6550 13.4418
S -2.9383 6.7333 24.1214
Ho -5.9541 2.5398 20.4800
S -2.8560 4.3587 17.8551
S 2.7560 7.2663 12.1102
Ho -2.5629 0.6003 7.5547
S -7.9396 6.6578 35.6748
Ho -8.2888 3.3203 27.9594
Ho -1.4341 6.1757 19.1624
Ho 0.9006 5.3952 11.6829
Ho -4.5561 6.0606 26.2005
La 5.7888 8.0277 6.9343
S 1.5524 7.5522 15.6686
S -4.5322 4.3568 21.7872
S 0.5514 2.0577 3.9675
La -6.7955 3.2139 24.1800
S -10.1442 1.4492 27.5321
Ho 0.0000 0.0000 0.0000
S -12.9202 2.5794 36.9424
La -0.5927 5.5017 15.4624
S -8.9406 1.1633 23.9738
S -7.8611 0.6145 20.0350
S -11.1862 1.7720 30.8049
S 2.0687 4.4957 6.6389
S 3.7980 6.9435 8.8374
S -4.4499 1.9822 15.5210
S 0.4729 8.1010 19.6073
S -1.1037 3.4871 11.5104
Ho -11.1068 3.5172 35.0815
S -0.5134 2.6064 7.8715
S -6.8748 6.1092 31.7708
La -13.1770 0.6879 32.7081
S -6.2845 5.2285 28.1320
S 5.5320 6.1362 2.7000
```

Computed total DFT energy (no corrections) (eV/atom) in order:
-5.5740, -4.8148, -3.2618, -8.3339, -8.3805, -8.2394, -7.2234, -6.4545